Entry 1:
Here is PrS2NO12 after structural relaxation from the Materials Project database. Energies are from PBE-GGA.

Computed properties:
Total magnetization ... 5.9 μB/f.u.
E ... -5.644 eV/atom

Cell and atoms, written as extended XYZ:
```
64
Lattice="19.555 0.000 0.000 0.000 6.554 0.000 0.000 1.192 9.019" Properties=species:S:1:pos:R:3 pbc="T T T"
O 16.309 4.191 1.744
O 17.411 2.850 7.621
O 3.799 2.495 0.610
O 13.577 4.655 3.899
O 11.188 2.383 0.843
O 19.490 5.736 2.011
O 15.755 5.251 8.409
O 2.144 4.897 1.398
O 0.188 2.430 1.286
O 13.024 4.787 6.254
O 12.186 6.347 8.527
O 9.842 6.332 6.521
O 9.966 4.720 3.223
O 8.367 5.363 8.176
O 0.665 5.712 6.793
O 19.366 5.316 7.733
O 9.112 5.116 2.284
O 4.482 4.078 3.450
O 14.260 3.072 1.059
O 5.295 4.674 7.959
O 5.978 3.091 5.120
O 7.368 1.399 0.492
O 2.409 1.995 5.001
O 14.945 6.043 5.382
O 15.073 3.668 5.569
O 8.078 5.721 2.658
O 4.610 1.703 3.637
O 9.713 1.415 2.498
O 10.443 2.630 6.735
O 7.844 1.005 7.200
O 17.621 7.337 6.328
O 6.531 2.959 2.765
O 11.921 2.254 3.112
O 11.711 6.741 1.819
O 17.856 1.429 1.851
O 18.889 2.034 2.225
O 11.476 2.025 6.361
O 18.144 2.979 5.352
O 7.633 5.493 5.907
O 5.167 2.299 8.147
O 14.388 5.447 0.872
O 17.146 5.751 4.017
O 3.246 3.555 7.274
O 1.699 6.317 7.168
O 1.934 0.409 2.691
O 9.589 3.027 5.795
O 1.411 4.767 3.667
O 0.065 2.011 7.007
S 18.217 2.121 6.593
S 5.447 2.957 3.747
S 4.330 3.553 8.257
S 15.225 4.193 0.762
S 14.107 4.789 5.271
S 1.338 5.625 2.425
S 8.439 6.221 6.935
S 11.116 1.525 2.084
Pr 16.999 5.007 6.413
Pr 2.556 2.739 2.606
Pr 12.333 4.411 1.903
Pr 7.221 3.336 7.115
N 5.886 5.503 1.289
N 3.892 6.099 5.798
N 15.663 1.647 3.221
N 13.669 2.244 7.730
```

Entry 2:
Here is PrS3N3O9 after structural relaxation from the Materials Project database. Energies are from PBE-GGA.

Computed properties:
MP2020-corrected energy ... -6.561 eV per atom
Total magnetization ... 6.0 μB/f.u.
E ... -6.175 eV/atom

Cell and atoms, written as extended XYZ:
```
32
Lattice="-0.057 6.712 -7.364 -6.644 0.661 7.395 3.739 3.386 3.057" Properties=species:S:1:pos:R:3 pbc="T T T"
O -1.706 6.302 0.304
O -0.610 7.474 -2.334
O -2.156 6.075 -3.598
O -0.866 3.548 -2.377
O 2.210 7.232 -2.178
O 0.289 5.856 4.048
O -1.678 1.666 3.052
O -3.642 5.811 4.203
O -3.691 5.381 1.401
O 0.729 5.378 1.688
O -0.807 4.684 6.687
O -5.172 3.527 5.266
O 0.680 4.947 -1.114
O -3.252 4.902 -0.959
O -2.097 7.211 5.466
O -1.284 9.092 0.036
O -2.352 3.285 5.423
O -1.256 4.457 2.784
N 0.047 6.672 -4.602
N -3.010 4.087 7.691
N -0.040 2.759 -0.161
N 0.999 3.566 3.365
N -3.961 7.193 -0.276
N -2.922 8.000 3.249
Pr 0.551 7.234 -0.151
Pr -3.514 3.525 3.240
S 0.340 3.587 -1.543
S -1.202 7.188 -3.646
S -3.303 7.172 4.632
S -3.093 5.850 0.150
S -1.760 3.571 6.734
S 0.130 4.909 2.939
```

Entry 3:
Here is Pr3Se2NO after structural relaxation from the Materials Project database. Energies are from PBE-GGA.

Computed properties:
MP2020-corrected energy ... -7.183 eV per atom
Total magnetization ... 0.0 μB/f.u.
E ... -7.084 eV/atom

Cell and atoms, written as extended XYZ:
```
21
Lattice="-1.131 -3.716 1.315 7.329 0.058 6.466 -8.947 3.353 8.173" Properties=species:S:1:pos:R:3 pbc="T T T"
O 0.713 -3.698 2.953
O -4.540 0.972 11.628
O 1.710 -1.278 4.254
Pr 0.659 0.465 8.273
Pr 3.782 -1.437 5.587
Pr 2.955 -1.695 10.540
Pr -0.053 -2.752 4.966
Pr -2.733 2.466 11.010
Pr -6.538 1.123 10.337
Pr -3.412 -0.765 7.691
Pr -1.672 3.408 14.585
Pr -5.700 1.389 5.416
Se -1.695 -0.947 2.259
Se 1.513 -2.292 7.611
Se -1.320 0.154 5.694
Se -0.907 0.632 13.794
Se -4.314 1.994 8.316
Se -1.427 -0.454 10.276
N 2.289 0.512 9.808
N -3.391 3.385 13.042
N -5.019 -0.825 6.140
```